# Na3Ti2Ge3O12 (PBE-GGA, optimized geometry)
data_Na3Ti2Ge3O12
_chemical_formula_sum 'Na24 Ti16 Ge24 O96'
_symmetry_space_group_name_H-M 'I a -3 d'
_symmetry_Int_Tables_number 230
_symmetry_space_group_name_Hall '-I 4bd 2c 3'
_cell_length_a 12.423
_cell_length_b 12.423
_cell_length_c 12.423
_cell_angle_alpha 90.00
_cell_angle_beta 90.00
_cell_angle_gamma 90.00
loop_
_atom_site_label
_atom_site_type_symbol
_atom_site_fract_x
_atom_site_fract_y
_atom_site_fract_z
_atom_site_occupancy
Na1 Na 0.000 0.250 0.125 1
Ti1 Ti 0.000 0.000 0.000 1
Ge1 Ge 0.000 0.250 0.375 1
O1 O 0.035 0.046 0.648 1
# - E (eV/atom) = -6.71
# - calculated volume (A^3/atom) = 11.98
# - total magnetization (μB/cell) = 8.02